# Mn6O7F5 | Materials Project | PBE+U | optimized geometry
# Formation energy, eV/atom: -2.213
# Total magnetic moment, μB per cell: 46.0
data_Mn6O7F5
_chemical_formula_sum 'Mn12 O14 F10'
_cell_length_a 9.068
_cell_length_b 6.511
_cell_length_c 7.330
_cell_angle_alpha 90.00
_cell_angle_beta 111.66
_cell_angle_gamma 90.00
_symmetry_space_group_name_H-M 'C 1 m 1'
_symmetry_Int_Tables_number 8
loop_
_symmetry_equiv_pos_as_xyz
'x,y,z'
'x,-y,z'
'x+1/2,y+1/2,z'
'x+1/2,-y+1/2,z'
loop_
_atom_site_label
_atom_site_fract_x
_atom_site_fract_y
_atom_site_fract_z
Mn1 0.000 0.000 0.000
Mn2 0.008 0.000 0.494
Mn3 0.168 0.500 0.673
Mn4 0.191 0.500 0.180
Mn5 0.307 0.000 0.826
Mn6 0.357 0.000 0.317
O1 0.083 0.500 0.378
O2 0.164 0.194 0.665
O3 0.222 0.000 0.023
O4 0.276 0.500 0.966
O5 0.353 0.303 0.332
F1 0.125 0.000 0.294
F2 0.404 0.500 0.707
F3 0.428 0.000 0.639
F4 0.497 0.185 0.999